[1]
A relaxed structure of In2CuAgS4, computed with PBE-GGA.

POSCAR file:
```
In2CuAgS4
1.0
-1.508 -6.830 0.272
-2.453 -1.555 6.369
-1.796 4.977 -4.584
In Ag S Cu
2 1 4 1
Cartesian
-1.981 -4.193 3.320 In
-2.642 -3.023 -0.496 In
-3.115 -0.386 2.553 Ag
-3.960 -1.595 -2.086 S
-2.723 -3.775 5.696 S
-3.507 -2.820 1.853 S
-1.324 1.372 -1.349 S
0.000 0.000 0.000 Cu
```

Summary:
The total magnetization comes out at 0.000 μB/atom. For the formation energy, the calculation gives -5.6 eV per formula unit. As for the space-group type: No. 82. For the mass density, the calculation gives 4.68 g cm⁻³. The total energy is -4.069 eV per atom.

---

[2]
A relaxed structure of LiErSe2, computed with PBE-GGA.

POSCAR file:
```
LiErSe2
1.0
-4.252 2.906 -4.594
-3.734 -0.934 -5.727
-6.323 -0.036 -2.763
Se Li Er
2 1 1
Cartesian
-3.571 0.483 -3.265 Se
-10.738 1.453 -9.819 Se
-7.155 0.968 -6.542 Li
0.000 0.000 0.000 Er
```

Summary:
For the formation energy, the calculation gives -7.7 eV per formula unit. As for the space-group type: No. 166. For the mass density, the calculation gives 6.02 g cm⁻³. The total energy is -5.058 eV per atom.

---

[3]
A relaxed structure of ZnH2C4S6N4, computed with PBE-GGA.

POSCAR file:
```
ZnH2C4S6N4
1.0
7.753 0.000 0.000
0.000 11.711 0.000
0.000 0.000 13.127
H C N S Zn
8 16 16 24 4
Cartesian
4.719 7.567 8.610 H
3.033 10.000 2.046 H
4.719 1.711 11.081 H
3.033 4.144 4.518 H
0.843 10.000 11.081 H
6.910 1.711 2.046 H
0.843 4.144 8.610 H
6.910 7.567 4.518 H
5.396 4.445 9.696 C
3.319 2.219 5.266 C
1.520 1.410 9.995 C
1.520 7.266 9.696 C
7.195 3.636 1.298 C
7.195 9.492 5.266 C
6.233 10.301 3.132 C
0.557 8.075 11.829 C
2.356 1.410 3.132 C
5.396 10.301 9.995 C
0.557 2.219 7.862 C
3.319 8.075 1.298 C
4.434 3.636 11.829 C
2.356 7.266 3.431 C
6.233 4.445 3.431 C
4.434 9.492 7.862 C
6.855 2.723 2.221 N
6.855 8.578 4.343 N
4.774 2.723 10.906 N
6.328 3.130 3.403 N
2.979 3.133 4.343 N
4.774 8.578 8.785 N
6.328 8.986 3.160 N
0.898 8.988 10.906 N
5.301 8.986 9.967 N
1.425 2.725 9.967 N
5.301 3.130 9.724 N
2.979 8.988 2.221 N
1.425 8.581 9.724 N
2.452 8.581 3.403 N
0.898 3.133 8.785 N
2.452 2.725 3.160 N
6.039 11.246 11.282 S
3.932 8.345 12.866 S
7.697 8.345 0.262 S
0.056 3.366 12.866 S
4.794 5.198 11.168 S
0.918 6.513 11.168 S
3.820 9.222 6.302 S
6.835 11.053 4.604 S
1.714 0.465 1.845 S
6.039 5.390 8.409 S
3.932 2.489 6.825 S
7.697 2.489 6.302 S
1.714 6.321 4.718 S
2.958 6.513 1.959 S
0.056 9.222 6.825 S
6.835 5.198 1.959 S
5.590 11.246 1.845 S
4.794 11.053 8.523 S
2.162 6.321 8.409 S
3.820 3.366 0.262 S
5.590 5.390 4.718 S
2.162 0.465 11.282 S
0.918 0.658 8.523 S
2.958 0.658 4.604 S
1.938 1.911 0.000 Zn
1.938 7.766 6.564 Zn
5.814 9.800 0.000 Zn
5.814 3.945 6.564 Zn
```

Summary:
The total magnetization comes out at 0.000 μB/atom. For the formation energy, the calculation gives -3.1 eV per formula unit. As for the space-group type: No. 60. For the mass density, the calculation gives 2.03 g cm⁻³. The total energy is -5.984 eV per atom.

---

[4]
A relaxed structure of NaBeH3, computed with PBE-GGA.

POSCAR file:
```
NaBeH3
1.0
-0.512 -2.681 -1.931
3.154 0.184 -1.091
0.981 -1.989 2.501
H Be Na
3 1 1
Cartesian
-0.256 -1.340 -0.965 H
1.577 0.092 -0.546 H
0.491 -0.994 1.251 H
0.000 0.000 0.000 Be
1.812 -2.243 -0.261 Na
```

Summary:
The total magnetization comes out at 0.000 μB/atom. For the formation energy, the calculation gives -0.8 eV per formula unit. As for the space-group type: No. 221. For the mass density, the calculation gives 1.56 g cm⁻³. The total energy is -3.093 eV per atom.

---

[5]
A relaxed structure of Tm4Si2S3O7, computed with PBE-GGA.

POSCAR file:
```
Tm4Si2S3O7
1.0
-5.812 5.812 6.744
5.812 -5.812 6.744
5.812 5.812 -6.744
Tm S Si O
16 12 8 28
Cartesian
-2.006 7.818 3.372 Tm
-2.006 3.806 3.372 Tm
3.806 -3.806 6.744 Tm
2.006 2.006 0.000 Tm
2.006 3.806 3.372 Tm
-3.806 3.806 6.744 Tm
5.812 3.076 -0.462 Tm
8.548 0.000 2.910 Tm
2.006 7.818 3.372 Tm
5.812 -2.736 3.833 Tm
0.000 2.736 6.282 Tm
2.736 0.000 7.205 Tm
3.076 5.812 0.462 Tm
3.806 3.806 6.744 Tm
3.076 0.000 2.910 Tm
5.812 2.736 3.833 Tm
2.906 -1.689 5.058 S
0.000 5.812 3.372 S
-1.689 2.906 8.429 S
0.000 0.000 6.744 S
7.501 2.906 1.686 S
2.906 1.689 5.058 S
1.689 2.906 8.429 S
4.123 2.906 1.686 S
2.906 4.123 -1.686 S
5.812 0.000 3.372 S
2.906 7.501 -1.686 S
0.000 0.000 0.000 S
1.456 0.000 10.518 Si
4.356 5.812 3.774 Si
1.456 5.812 6.341 Si
0.000 7.268 0.402 Si
5.812 4.356 -3.774 Si
-1.456 5.812 6.341 Si
0.000 4.356 0.402 Si
0.000 1.456 2.969 Si
4.359 1.645 7.879 O
3.087 0.000 0.657 O
1.453 7.457 1.136 O
0.000 0.000 3.711 O
5.812 3.087 -2.715 O
4.168 7.265 4.508 O
7.265 4.168 -4.508 O
4.359 4.168 -4.508 O
0.000 0.000 9.776 O
2.725 0.000 9.458 O
5.812 0.000 0.339 O
1.645 -1.453 11.251 O
3.087 5.812 2.715 O
1.453 1.645 2.236 O
1.453 4.168 1.136 O
-1.453 1.645 2.236 O
4.168 1.453 -1.136 O
7.457 1.453 -1.136 O
5.812 2.725 6.086 O
4.168 4.359 4.508 O
-1.645 4.359 5.608 O
5.812 0.000 6.404 O
0.000 2.725 4.029 O
4.359 -1.645 7.879 O
1.645 4.359 5.608 O
8.537 0.000 0.657 O
1.645 1.453 11.251 O
5.812 -2.725 6.086 O
```

Summary:
The total magnetization comes out at 0.000 μB/atom. For the formation energy, the calculation gives -52.1 eV per formula unit. As for the space-group type: No. 141. For the mass density, the calculation gives 6.85 g cm⁻³. The total energy is -7.598 eV per atom.

---

[6]
A relaxed structure of Tb2NiGe4, computed with PBE-GGA.

POSCAR file:
```
Tb2NiGe4
1.0
0.000 0.000 4.078
4.103 0.000 0.000
2.052 8.223 0.000
Tb Ni Ge
2 1 4
Cartesian
4.103 1.768 1.019 Tb
2.052 6.527 3.058 Tb
4.103 5.177 1.019 Ni
4.103 7.497 1.019 Ge
2.052 0.840 3.058 Ge
2.052 3.980 1.019 Ge
4.103 4.004 3.058 Ge
```

Summary:
For the formation energy, the calculation gives -4.8 eV per formula unit. As for the space-group type: No. 38. For the mass density, the calculation gives 8.05 g cm⁻³. The total energy is -5.480 eV per atom.

---

[7]
A relaxed structure of Na5Ti3ZnSiP5O24, computed with PBE-GGA.

POSCAR file:
```
Na5Ti3ZnSiP5O24
1.0
-2.694 0.286 8.426
7.359 -4.347 -2.099
11.729 18.425 2.988
O P Ti Na Zn Si
72 15 9 15 3 3
Cartesian
16.734 14.350 3.695 O
13.359 13.182 5.441 O
2.736 3.974 4.410 O
10.176 7.883 4.618 O
10.416 11.700 8.203 O
11.958 15.926 2.589 O
5.487 10.412 9.574 O
7.165 2.479 6.201 O
8.259 1.212 1.586 O
-1.036 1.769 7.241 O
14.632 13.351 7.844 O
2.002 -1.524 6.039 O
1.323 -0.701 3.317 O
4.879 2.413 5.350 O
1.747 0.976 1.496 O
8.197 6.705 3.101 O
3.288 5.641 2.693 O
13.343 13.636 2.605 O
5.268 -1.442 0.085 O
9.875 3.657 5.962 O
3.083 1.177 3.654 O
5.812 -2.203 2.669 O
10.364 5.216 4.092 O
4.388 -1.615 6.782 O
11.993 6.966 2.900 O
9.808 12.563 5.538 O
13.539 10.884 2.230 O
13.551 10.460 4.954 O
7.885 10.499 8.712 O
10.652 7.537 7.036 O
8.252 7.654 6.326 O
11.515 11.908 3.778 O
10.516 16.531 6.626 O
9.255 3.027 3.501 O
12.712 15.101 7.068 O
3.683 2.715 0.450 O
6.212 8.696 7.967 O
10.237 14.176 3.725 O
13.104 8.778 6.714 O
2.318 5.155 8.686 O
8.133 13.317 7.757 O
6.594 10.801 3.233 O
11.165 15.731 9.155 O
6.270 0.197 5.545 O
8.545 3.883 0.837 O
-0.315 0.041 5.580 O
6.864 4.586 3.069 O
3.152 0.608 6.871 O
6.110 9.072 5.187 O
14.183 9.174 0.574 O
5.830 6.859 2.345 O
6.036 2.689 1.228 O
10.121 5.759 1.340 O
17.399 12.541 2.109 O
14.407 15.922 3.392 O
15.150 15.065 5.901 O
6.727 1.838 3.720 O
15.493 12.138 3.775 O
9.716 9.760 6.153 O
12.758 11.616 8.961 O
6.274 5.903 7.489 O
3.593 -0.664 2.125 O
6.285 6.327 4.765 O
9.153 12.000 3.066 O
0.768 2.370 5.550 O
2.954 3.340 7.177 O
9.951 8.461 1.907 O
7.348 14.986 9.369 O
10.885 4.048 -0.222 O
4.266 7.365 6.281 O
7.004 11.581 5.838 O
8.967 -0.526 -0.044 O
9.526 0.382 1.101 P
6.254 1.736 5.239 P
10.266 3.730 4.507 P
9.643 4.826 0.194 P
10.170 12.674 4.050 P
14.219 9.687 6.139 P
6.744 9.577 9.144 P
16.889 12.849 3.549 P
-0.514 1.582 5.771 P
3.027 -0.895 7.062 P
5.082 3.358 0.144 P
9.665 8.240 6.040 P
2.422 0.203 2.690 P
14.058 10.724 0.766 P
6.786 6.145 3.292 P
6.330 7.613 6.336 Ti
-0.988 2.934 8.846 Ti
7.513 11.837 2.014 Ti
10.101 6.772 2.923 Ti
7.693 3.014 2.349 Ti
12.186 16.810 7.946 Ti
4.197 -2.426 1.511 Ti
14.722 11.774 8.820 Ti
13.595 12.303 3.840 Ti
12.107 15.756 4.933 Na
5.893 0.143 1.887 Na
4.659 -3.979 6.276 Na
4.859 2.071 7.746 Na
10.452 14.158 7.485 Na
11.753 9.428 3.325 Na
3.111 9.391 9.878 Na
12.221 6.731 5.295 Na
8.786 12.450 9.825 Na
1.237 4.663 6.109 Na
4.529 3.059 3.105 Na
4.595 4.824 5.983 Na
7.800 13.813 5.395 Na
11.661 11.221 6.249 Na
4.218 7.565 3.916 Na
8.589 11.236 6.940 Zn
8.805 2.427 7.315 Zn
2.736 1.990 5.447 Zn
13.989 14.200 6.611 Si
13.435 15.272 2.281 Si
6.141 10.686 4.814 Si
```

Summary:
The total magnetization comes out at 0.000 μB/atom. For the formation energy, the calculation gives -111.2 eV per formula unit. As for the space-group type: No. 1. For the mass density, the calculation gives 2.98 g cm⁻³. The total energy is -7.117 eV per atom.

---

[8]
A relaxed structure of Te3W2S, computed with PBE-GGA.

POSCAR file:
```
Te3W2S
1.0
1.728 -2.993 0.000
1.728 2.993 0.000
0.000 0.000 39.226
Te S W
6 2 4
Cartesian
1.728 0.998 27.671 Te
1.728 -0.998 20.265 Te
1.728 -0.998 1.829 Te
1.728 -0.998 5.547 Te
1.728 -0.998 16.548 Te
1.728 0.998 23.953 Te
1.728 0.998 9.559 S
1.728 0.998 12.536 S
1.728 0.998 3.687 W
1.728 -0.998 11.048 W
1.728 0.998 18.406 W
1.728 -0.998 25.813 W
```

Summary:
The total magnetization comes out at 0.000 μB/atom. For the formation energy, the calculation gives -1.7 eV per formula unit. As for the space-group type: No. 156. For the mass density, the calculation gives 6.41 g cm⁻³. The total energy is -6.782 eV per atom.

---

[9]
A relaxed structure of K2PdC4N4, computed with PBE-GGA.

POSCAR file:
```
K2PdC4N4
1.0
7.852 0.000 0.000
0.000 4.443 0.000
0.000 0.259 13.739
K N C Pd
4 8 8 2
Cartesian
0.347 3.348 9.015 K
7.505 1.353 4.724 K
4.273 1.482 11.593 K
3.579 3.219 2.146 K
5.072 1.064 1.090 N
6.286 3.560 11.231 N
2.360 1.271 9.378 N
5.492 3.430 4.362 N
1.146 3.509 5.780 N
2.780 3.638 12.650 N
1.566 1.142 2.508 N
6.706 1.193 7.959 N
2.961 0.861 8.454 C
6.113 0.678 0.707 C
2.187 3.894 6.163 C
5.665 0.807 7.576 C
6.887 3.969 12.155 C
0.965 0.732 1.584 C
4.891 3.840 5.286 C
1.739 4.024 13.033 C
0.000 0.000 0.000 Pd
3.926 0.129 6.870 Pd
```

Summary:
The total magnetization comes out at 0.000 μB/atom. For the formation energy, the calculation gives -2.8 eV per formula unit. As for the space-group type: No. 14. For the mass density, the calculation gives 2.00 g cm⁻³. The total energy is -7.182 eV per atom.

---

[10]
A relaxed structure of Tl3Si, computed with PBE-GGA.

POSCAR file:
```
Tl3Si
1.0
2.142 3.203 3.892
-1.063 4.732 -2.545
-3.811 -3.806 0.994
Tl Si
3 1
Cartesian
0.539 3.967 0.674 Tl
-2.168 2.447 -0.439 Tl
-0.565 1.682 2.780 Tl
0.000 0.000 0.000 Si
```

Summary:
The total magnetization comes out at 0.000 μB/atom. For the formation energy, the calculation gives 1.4 eV per formula unit. As for the space-group type: No. 139. For the mass density, the calculation gives 9.70 g cm⁻³. The calculation puts the energy above the most stable polymorph in this dataset at 0.000 eV/f.u. The total energy is -2.790 eV per atom.

---

[11]
A relaxed structure of NdGaCo, computed with PBE-GGA.

POSCAR file:
```
NdGaCo
1.0
-2.464 3.217 1.509
-5.575 -2.674 -3.404
-1.692 -4.113 6.003
Nd Co Ga
4 4 4
Cartesian
-5.046 -0.146 1.366 Nd
-4.686 -3.423 2.743 Nd
-2.104 -2.585 5.173 Nd
-7.628 -0.984 -1.064 Nd
-2.482 -0.431 -0.035 Co
-5.766 -2.975 0.025 Co
-3.966 -0.595 4.084 Co
-7.250 -3.138 4.144 Co
-5.271 -2.274 5.533 Ga
-4.461 -1.296 -1.424 Ga
-2.257 -1.377 2.348 Ga
-7.475 -2.192 1.761 Ga
```

Summary:
The total magnetization comes out at 0.001 μB/atom. For the formation energy, the calculation gives -1.1 eV per formula unit. As for the space-group type: No. 62. For the mass density, the calculation gives 7.95 g cm⁻³. The total energy is -5.351 eV per atom.

---

[12]
A relaxed structure of Na2GaAgCl6, computed with PBE-GGA.

POSCAR file:
```
Na2GaAgCl6
1.0
0.000 5.058 5.058
5.058 0.000 5.058
5.058 5.058 0.000
Cl Na Ga Ag
6 2 1 1
Cartesian
5.058 2.391 5.058 Cl
5.058 7.726 5.058 Cl
5.058 5.058 7.726 Cl
5.058 5.058 2.391 Cl
2.391 5.058 5.058 Cl
7.726 5.058 5.058 Cl
7.588 7.588 7.588 Na
2.529 2.529 2.529 Na
0.000 0.000 0.000 Ga
5.058 5.058 5.058 Ag
```

Summary:
The total magnetization comes out at 0.000 μB/atom. For the formation energy, the calculation gives -14.8 eV per formula unit. As for the space-group type: No. 225. For the mass density, the calculation gives 2.80 g cm⁻³. The total energy is -3.070 eV per atom.